A plane-wave DFT calculation with r²SCAN was carried out for a relaxed SmY3O6 crystal.

abc: 9.249 9.262 9.262
angles: 109.48 109.45 109.45
Space group P1 (No. 1)
Symmetry-distinct sites (fractional):
Sm (0.000, 0.000, 0.000)
Sm (0.000, 0.497, 0.498)
Sm (0.252, 0.717, 0.969)
Sm (0.500, 0.998, 0.502)
Y (0.029, 0.748, 0.282)
Y (0.219, 0.969, 0.750)
Y (0.251, 0.217, 0.470)
Y (0.282, 0.529, 0.250)
Y (0.470, 0.251, 0.219)
Y (0.501, 0.497, 0.000)
Y (0.533, 0.746, 0.781)
Y (0.717, 0.466, 0.751)
Y (0.749, 0.280, 0.031)
Y (0.750, 0.779, 0.530)
Y (0.782, 0.028, 0.250)
Y (0.969, 0.247, 0.718)
O (0.010, 0.039, 0.766)
O (0.029, 0.485, 0.254)
O (0.042, 0.266, 0.511)
O (0.230, 0.451, 0.969)
O (0.233, 0.274, 0.246)
O (0.246, 0.974, 0.013)
O (0.256, 0.766, 0.230)
O (0.268, 0.011, 0.542)
O (0.276, 0.744, 0.729)
O (0.457, 0.466, 0.730)
O (0.469, 0.229, 0.957)
O (0.489, 0.753, 0.530)
O (0.512, 0.242, 0.470)
O (0.536, 0.766, 0.042)
O (0.544, 0.530, 0.270)
O (0.725, 0.253, 0.267)
O (0.731, 0.986, 0.457)
O (0.745, 0.230, 0.775)
O (0.754, 0.028, 0.987)
O (0.769, 0.723, 0.756)
O (0.770, 0.541, 0.031)
O (0.958, 0.730, 0.488)
O (0.967, 0.506, 0.740)
O (0.989, 0.956, 0.232)

total magnetization: 0.000 μB/atom
DFT formation energy: -3858 meV per atom
volume: 611.06 Å³ per cell